DFT (PBE) results for an optimized crystal structure of Na3NbSi3GeO12.

Calculated values
The value obtained for the energy is -7.081 eV per atom.

Cell lengths 15.5336, 8.8809, 8.9204 Å; angles 90.00, 125.01, 90.00 degrees
Closest atoms and distances in Å follow each position.
Atoms (fractional coordinates):
O1 0.5794 0.4357 0.4413  1 Si 1.63
O2 0.3537 0.8545 0.5762  1 Si 1.65
O3 0.0867 0.1459 0.2441  1 Si 1.64
O4 0.6435 0.9180 0.2359  1 Si 1.63
O5 0.6342 0.8615 0.9216  1 Si 1.63
O6 0.9618 0.6843 0.4425  1 Si 1.63
O7 0.5351 0.8318 0.5609  1 Si 1.65
O8 0.5794 0.5643 0.9413  1 Si 1.63
O9 0.2385 0.6847 0.2604  1 Si 1.64
O10 0.4618 0.1843 0.4425  1 Si 1.63
O11 0.7385 0.1847 0.2604  1 Si 1.64
O12 0.3537 0.1455 0.0762  1 Si 1.65
O13 0.3463 0.0658 0.7648  1 Si 1.67
O14 0.1435 0.5820 0.7359  1 Si 1.63
O15 0.8463 0.4342 0.2648  1 Si 1.67
O16 0.6342 0.1385 0.4216  1 Si 1.63
O17 0.5867 0.3541 0.7441  1 Si 1.64
O18 0.0794 0.9357 0.4413  1 Si 1.63
O19 0.0794 0.0643 0.9413  1 Si 1.63
O20 0.9618 0.3157 0.9425  1 Si 1.63
O21 0.9191 0.8504 0.7540  1 Si 1.64
O22 0.2504 0.1879 0.2403  1 Si 1.63
O23 0.1342 0.3615 0.9216  1 Si 1.63
O24 0.4373 0.5699 0.5788  1 Si 1.64
O25 0.4191 0.3504 0.7540  1 Si 1.64
O26 0.9373 0.0699 0.5788  1 Si 1.64
O27 0.9191 0.1496 0.2540  1 Si 1.64
O28 0.9373 0.9301 0.0788  1 Si 1.64
O29 0.7385 0.8153 0.7604  1 Si 1.64
O30 0.2504 0.8121 0.7403  1 Si 1.63
O31 0.4618 0.8157 0.9425  1 Si 1.63
O32 0.3463 0.9342 0.2648  1 Si 1.67
O33 0.0351 0.6682 0.0609  1 Si 1.65
O34 0.1342 0.6385 0.4216  1 Si 1.63
O35 0.0351 0.3318 0.5609  1 Si 1.65
O36 0.4373 0.4301 0.0788  1 Si 1.64
O37 0.5867 0.6459 0.2441  1 Si 1.64
O38 0.6435 0.0820 0.7359  1 Si 1.63
O39 0.7504 0.6879 0.2403  1 Si 1.63
O40 0.8463 0.5658 0.7648  1 Si 1.67
O41 0.4191 0.6496 0.2540  1 Si 1.64
O42 0.0867 0.8541 0.7441  1 Si 1.64
O43 0.5351 0.1682 0.0609  1 Si 1.65
O44 0.8537 0.3545 0.5762  1 Si 1.65
O45 0.1435 0.4180 0.2359  1 Si 1.63
O46 0.7504 0.3121 0.7403  1 Si 1.63
O47 0.8537 0.6455 0.0762  1 Si 1.65
O48 0.2385 0.3153 0.7604  1 Si 1.64
Nb1 0.8922 0.7545 0.9292  6 O 1.91-2.07
Nb2 0.3922 0.2545 0.9292  6 O 1.91-2.07
Nb3 0.3922 0.7455 0.4292  6 O 1.91-2.07
Nb4 0.8922 0.2455 0.4292  6 O 1.91-2.07
Si1 0.6407 0.1005 0.2493  4 O 1.63-1.65
Si2 0.8538 0.6214 0.2592  4 O 1.63-1.67
Si3 0.1407 0.6005 0.2493  4 O 1.63-1.65
Si4 0.1407 0.3995 0.7493  4 O 1.63-1.65
Si5 0.3538 0.1214 0.2592  4 O 1.63-1.67
Si6 0.0056 0.9607 0.7587  4 O 1.63-1.64
Si7 0.8538 0.3786 0.7592  4 O 1.63-1.67
Si8 0.3538 0.8786 0.7592  4 O 1.63-1.67
Si9 0.0056 0.0393 0.2587  4 O 1.63-1.64
Si10 0.6407 0.8995 0.7493  4 O 1.63-1.65
Si11 0.5056 0.5393 0.2587  4 O 1.63-1.64
Si12 0.5056 0.4607 0.7587  4 O 1.63-1.64
Na1 0.1917 0.9422 0.2806  5 O 2.33-2.51
Na2 0.2492 0.2722 0.4922  5 O 2.30-2.52
Na3 0.7492 0.2278 0.9922  5 O 2.30-2.52
Na4 0.4960 0.8878 0.2436  6 O 2.35-2.58
Na5 0.6917 0.4422 0.2806  5 O 2.33-2.51
Na6 0.1917 0.0578 0.7806  5 O 2.33-2.51
Na7 0.7492 0.7722 0.4922  5 O 2.30-2.52
Na8 0.2492 0.7278 0.9922  5 O 2.30-2.52
Na9 0.6917 0.5578 0.7806  5 O 2.33-2.51
Na10 0.4960 0.1122 0.7436  6 O 2.35-2.58
Na11 0.9960 0.6122 0.7436  6 O 2.35-2.58
Na12 0.9960 0.3878 0.2436  6 O 2.35-2.58
Ge1 0.1050 0.7481 0.5666  6 O 1.87-2.00
Ge2 0.6050 0.7519 0.0666  6 O 1.87-2.00
Ge3 0.6050 0.2481 0.5666  6 O 1.87-2.00
Ge4 0.1050 0.2519 0.0666  6 O 1.87-2.00